Crystalline Cs7Co4F15 at its relaxed geometry. Source: the Materials Project, functional PBE with a Hubbard U.

POSCAR file:
```
Cs7Co4F15
1.0
8.0001 0.0000 0.0000
0.0000 11.1387 0.0000
-0.4915 0.0000 11.7853
Cs Co F
14 8 30
Cartesian
0.0000 0.0000 0.0000 Cs
-0.2458 5.5694 5.8926 Cs
1.1212 1.7117 3.5794 Cs
0.8754 3.8577 9.4720 Cs
2.3132 0.0186 7.8466 Cs
2.5590 5.5507 1.9540 Cs
3.9606 2.0240 0.3640 Cs
3.7148 3.5453 6.2567 Cs
3.7938 7.5934 5.5286 Cs
3.5480 9.1147 11.4213 Cs
4.9496 5.5880 9.8313 Cs
5.1954 11.1201 3.9387 Cs
6.6331 7.2810 2.3133 Cs
6.3874 9.4271 8.2059 Cs
0.1593 7.3755 10.9379 Co
0.4050 9.3326 5.0453 Co
1.7351 7.4887 8.5594 Co
1.9808 9.2194 2.6667 Co
5.5278 1.9193 9.1185 Co
5.7735 3.6500 3.2259 Co
7.1036 1.8061 6.7400 Co
7.3493 3.7632 0.8474 Co
-0.2458 0.0000 5.8926 F
0.0000 5.5694 0.0000 F
-0.1922 6.7119 8.9505 F
0.0536 9.9962 3.0578 F
0.9084 2.6295 6.5434 F
1.1542 2.9399 0.6508 F
1.3170 8.1773 0.9691 F
1.0712 8.5308 6.8618 F
1.2169 7.6871 3.9486 F
0.9712 9.0210 9.8412 F
2.0519 6.5816 10.5433 F
2.2977 10.1265 4.6507 F
2.3355 5.8538 7.5596 F
2.5812 10.8543 1.6670 F
3.5603 8.3241 8.5049 F
3.8061 8.3840 2.6123 F
3.7025 2.7547 9.1730 F
3.9483 2.8147 3.2804 F
4.9273 0.2845 10.1183 F
5.1731 5.2849 4.2256 F
5.2109 1.0122 7.1346 F
5.4567 4.5571 1.2420 F
6.5374 2.1178 1.9441 F
6.2917 3.4516 7.8367 F
6.4373 2.6079 4.9235 F
6.1916 2.9615 10.8162 F
6.3544 8.1988 11.1345 F
6.6002 8.5093 5.2419 F
7.4550 1.1426 8.7275 F
7.7008 4.4268 2.8348 F
```

Output
Energy with MP2020 corrections   -5.128 eV/atom
ΔE_f   -2.689 eV/atom
Mass density   4589 kg/m3
Energy   -4.61 eV per atom

***

Crystalline CsCoF3 at its relaxed geometry. Source: the Materials Project, functional PBE with a Hubbard U.

POSCAR file:
```
CsCoF3
1.0
3.1404 1.8131 7.5884
-3.1404 1.8131 7.5884
0.0000 -3.6263 7.5884
Cs Co F
3 3 9
Cartesian
0.0000 0.0000 0.0000 Cs
0.0000 0.0000 4.8708 Cs
0.0000 0.0000 17.8945 Cs
0.0000 0.0000 8.6108 Co
0.0000 0.0000 11.3826 Co
0.0000 0.0000 14.1545 Co
-1.5702 -0.9066 7.5884 F
-1.3491 -0.7789 12.7416 F
0.0000 -1.5578 10.0237 F
-1.3491 0.7789 10.0237 F
-1.5702 0.9066 15.1769 F
0.0000 1.8131 7.5884 F
1.3491 -0.7789 12.7416 F
0.0000 1.5578 12.7416 F
1.3491 0.7789 10.0237 F
```

Output
Energy with MP2020 corrections   -5.253 eV/atom
ΔE_f   -2.503 eV/atom
Mass density   4781 kg/m3
Energy   -4.65 eV per atom

***

Crystalline Cs2CoF6 at its relaxed geometry. Source: the Materials Project, functional PBE with a Hubbard U.

POSCAR file:
```
Cs2CoF6
1.0
0.0000 4.5254 4.5254
4.5254 0.0000 4.5254
4.5254 4.5254 0.0000
Cs Co F
2 1 6
Cartesian
2.2627 2.2627 2.2627 Cs
6.7881 6.7881 6.7881 Cs
0.0000 0.0000 0.0000 Co
4.5254 4.5254 1.8172 F
4.5254 1.8172 4.5254 F
7.2336 4.5254 4.5254 F
1.8172 4.5254 4.5254 F
4.5254 7.2336 4.5254 F
4.5254 4.5254 7.2336 F
```

Output
Energy with MP2020 corrections   -4.743 eV/atom
ΔE_f   -2.478 eV/atom
Mass density   3930 kg/m3
Energy   -4.25 eV per atom

***

Crystalline CsFeCoF6 at its relaxed geometry. Source: the Materials Project, functional PBE with a Hubbard U.

POSCAR file:
```
CsFeCoF6
1.0
-3.6948 3.7677 5.2852
3.6948 -3.7677 5.2852
3.6948 3.7677 -5.2852
Cs Fe Co F
2 2 2 12
Cartesian
0.0000 1.8839 1.2993 Cs
3.6948 1.8839 3.9859 Cs
3.6948 0.0000 0.0000 Fe
0.0000 0.0000 5.2852 Fe
1.8474 1.8839 -2.6426 Co
1.8474 -1.8839 2.6426 Co
2.2903 -0.3754 1.2778 F
5.0994 -0.3754 1.2778 F
3.6948 -1.8839 3.4071 F
3.6948 1.8839 0.7056 F
2.2903 3.3924 -1.2778 F
1.4046 -0.3754 4.0074 F
2.2903 4.1431 1.2778 F
1.4046 0.3754 6.5630 F
0.0000 1.8839 4.5796 F
0.0000 5.6516 1.8780 F
-1.4046 4.1431 4.0074 F
1.4046 4.1431 4.0074 F
```

Output
Energy with MP2020 corrections   -5.790 eV/atom
ΔE_f   -2.684 eV/atom
Mass density   4081 kg/m3
Energy   -5.05 eV per atom

***

Crystalline CsTaCoO2F4 at its relaxed geometry. Source: the Materials Project, functional PBE with a Hubbard U.

POSCAR file:
```
CsTaCoO2F4
1.0
7.5197 0.0000 0.0000
-0.2124 7.5186 0.0000
-3.6530 -3.7589 5.4375
Cs Ta Co O F
2 2 2 4 8
Cartesian
0.0000 0.0000 0.0000 Cs
-0.1030 3.7577 2.7491 Cs
-1.8321 0.1250 4.1506 Ta
1.8374 -0.1257 4.1507 Ta
3.5801 5.6295 1.3287 Co
3.7299 1.8884 1.3292 Co
2.1742 5.0983 0.0223 O
0.0026 -0.0013 3.4561 O
5.1375 2.4233 0.0266 O
3.7623 0.0004 4.4587 O
-1.5468 -1.4843 5.3115 F
2.1956 -1.4888 2.7324 F
2.2213 1.3700 2.6388 F
3.7714 0.0000 0.6361 F
3.6468 3.7585 2.1110 F
1.5507 1.4841 5.3106 F
5.3008 -1.3730 2.6418 F
5.3294 1.4859 2.7311 F
```

Output
Energy with MP2020 corrections   -7.172 eV/atom
ΔE_f   -3.015 eV/atom
Mass density   5194 kg/m3
Energy   -6.63 eV per atom

***

Crystalline CsVCoF6 at its relaxed geometry. Source: the Materials Project, functional PBE with a Hubbard U.

POSCAR file:
```
CsVCoF6
1.0
-3.7379 3.7506 5.3760
3.7379 -3.7506 5.3760
3.7379 3.7506 -5.3760
Cs V Co F
2 2 2 12
Cartesian
0.0000 1.8753 1.2966 Cs
3.7379 1.8753 4.0793 Cs
3.7379 0.0000 0.0000 V
0.0000 0.0000 5.3760 V
1.8690 1.8753 -2.6880 Co
1.8690 -1.8753 2.6880 Co
2.3175 -0.3835 1.3119 F
5.1584 -0.3835 1.3119 F
3.7379 -1.8753 3.4579 F
3.7379 1.8753 0.6888 F
2.3175 3.3671 -1.3119 F
1.4204 -0.3835 4.0641 F
2.3175 4.1341 1.3119 F
1.4204 0.3835 6.6879 F
0.0000 1.8753 4.6872 F
0.0000 5.6259 1.9181 F
-1.4204 4.1341 4.0641 F
1.4204 4.1341 4.0641 F
```

Output
Energy with MP2020 corrections   -6.016 eV/atom
ΔE_f   -2.841 eV/atom
Mass density   3930 kg/m3
Energy   -5.34 eV per atom